# r²SCAN ReGe2, relaxed
# Mass density ... 11.38 Mg/m³
# E_form ... 0.015 eV per atom
data_ReGe2
_chemical_formula_sum 'Re2 Ge4'
_space_group_name_H-M_alt 'P 1'
_space_group_IT_number 1
_cell_length_a 3.211
_cell_length_b 4.802
_cell_length_c 6.921
_cell_angle_alpha 77.54
_cell_angle_beta 76.59
_cell_angle_gamma 70.47
loop_
_space_group_symop_operation_xyz
'x,y,z'
loop_
_atom_site_label
_atom_site_fract_x
_atom_site_fract_y
_atom_site_fract_z
Re1 0.849 0.111 0.190
Re2 0.151 0.889 0.810
Ge1 0.850 0.759 0.540
Ge2 0.150 0.241 0.460
Ge3 0.600 0.688 0.112
Ge4 0.400 0.312 0.888

# r²SCAN Ag3Hg, relaxed
# Mass density ... 11.82 Mg/m³
# E_form ... 0.032 eV per atom
data_Ag3Hg
_chemical_formula_sum 'Ag3 Hg1'
_space_group_name_H-M_alt 'P 1'
_space_group_IT_number 1
_cell_length_a 4.192
_cell_length_b 4.192
_cell_length_c 4.192
_cell_angle_alpha 90.00
_cell_angle_beta 90.00
_cell_angle_gamma 90.00
loop_
_space_group_symop_operation_xyz
'x,y,z'
loop_
_atom_site_label
_atom_site_fract_x
_atom_site_fract_y
_atom_site_fract_z
Ag1 0.500 0.000 0.500
Ag2 0.000 0.500 0.500
Ag3 0.500 0.500 0.000
Hg1 0.000 0.000 0.000

# r²SCAN RbErSe2, relaxed
# Mass density ... 5.67 Mg/m³
# E_form ... -2.009 eV per atom
data_RbErSe2
_chemical_formula_sum 'Rb1 Er1 Se2'
_space_group_name_H-M_alt 'P 1'
_space_group_IT_number 1
_cell_length_a 8.292
_cell_length_b 8.292
_cell_length_c 8.292
_cell_angle_alpha 29.22
_cell_angle_beta 29.22
_cell_angle_gamma 29.22
loop_
_space_group_symop_operation_xyz
'x,y,z'
loop_
_atom_site_label
_atom_site_fract_x
_atom_site_fract_y
_atom_site_fract_z
Rb1 0.000 0.000 0.000
Er1 0.500 0.500 0.500
Se1 0.231 0.231 0.231
Se2 0.769 0.769 0.769

# r²SCAN LuFe10Si2, relaxed
# Mass density ... 7.95 Mg/m³
# E_form ... -0.199 eV per atom
data_LuFe10Si2
_chemical_formula_sum 'Lu1 Fe10 Si2'
_space_group_name_H-M_alt 'P 1'
_space_group_IT_number 1
_cell_length_a 4.776
_cell_length_b 6.344
_cell_length_c 6.344
_cell_angle_alpha 98.46
_cell_angle_beta 112.11
_cell_angle_gamma 67.89
loop_
_space_group_symop_operation_xyz
'x,y,z'
loop_
_atom_site_label
_atom_site_fract_x
_atom_site_fract_y
_atom_site_fract_z
Lu1 0.000 0.000 0.000
Fe1 0.642 0.358 0.642
Fe2 0.358 0.642 0.358
Fe3 0.000 0.354 0.354
Fe4 0.000 0.646 0.646
Fe5 0.500 0.790 0.790
Fe6 0.500 0.210 0.210
Fe7 0.500 0.000 0.500
Fe8 0.000 0.000 0.500
Fe9 0.500 0.500 0.000
Fe10 0.000 0.500 0.000
Si1 0.731 0.769 0.231
Si2 0.269 0.231 0.769

# r²SCAN EuO2, relaxed
# Mass density ... 7.48 Mg/m³
# E_form ... -2.437 eV per atom
data_EuO2
_chemical_formula_sum 'Eu2 O4'
_space_group_name_H-M_alt 'P 1'
_space_group_IT_number 1
_cell_length_a 3.860
_cell_length_b 3.862
_cell_length_c 5.477
_cell_angle_alpha 90.00
_cell_angle_beta 90.00
_cell_angle_gamma 90.00
loop_
_space_group_symop_operation_xyz
'x,y,z'
loop_
_atom_site_label
_atom_site_fract_x
_atom_site_fract_y
_atom_site_fract_z
Eu1 0.750 0.250 0.750
Eu2 0.250 0.750 0.250
O1 0.750 0.750 0.500
O2 0.250 0.250 0.500
O3 0.750 0.750 0.000
O4 0.250 0.250 0.000

# r²SCAN Li7Fe5O12, relaxed
# Mass density ... 4.21 Mg/m³
# E_form ... -1.898 eV per atom
data_Li7Fe5O12
_chemical_formula_sum 'Li7 Fe5 O12'
_space_group_name_H-M_alt 'P 1'
_space_group_IT_number 1
_cell_length_a 4.991
_cell_length_b 4.991
_cell_length_c 9.458
_cell_angle_alpha 85.64
_cell_angle_beta 85.64
_cell_angle_gamma 118.24
loop_
_space_group_symop_operation_xyz
'x,y,z'
loop_
_atom_site_label
_atom_site_fract_x
_atom_site_fract_y
_atom_site_fract_z
Li1 0.754 0.246 0.000
Li2 0.833 0.656 0.757
Li3 0.653 0.828 0.248
Li4 0.344 0.167 0.243
Li5 0.172 0.347 0.752
Li6 0.249 0.751 0.500
Li7 0.081 0.919 0.000
Fe1 0.919 0.081 0.500
Fe2 0.995 0.509 0.241
Fe3 0.491 0.005 0.759
Fe4 0.576 0.424 0.500
Fe5 0.423 0.577 0.000
O1 0.084 0.254 0.113
O2 0.746 0.916 0.887
O3 0.849 0.352 0.630
O4 0.648 0.151 0.370
O5 0.708 0.542 0.121
O6 0.458 0.292 0.879
O7 0.556 0.729 0.620
O8 0.271 0.444 0.380
O9 0.365 0.837 0.124
O10 0.163 0.635 0.876
O11 0.221 0.058 0.624
O12 0.942 0.779 0.376